No. 1
A relaxed Ba5Ta4O15 crystal. Source: the Materials Project, functional PBE-GGA.

Summary:
As for the crystal system: trigonal. The value obtained for the formation energy is -82.578 eV per formula unit. Its total DFT energy (no corrections) is -8.480 eV per atom.

abc: 5.8623 5.8623 11.9814
angles: 90.00 90.00 120.00
Space group P-3m1 (No. 164)
Symmetry-distinct sites (fractional):
Ba  0.0000  0.0000  0.0000 (multiplicity 1)
Ba  0.3333  0.6667  0.4311 (multiplicity 2)
Ba  0.3333  0.6667  0.7880 (multiplicity 2)
Ta  0.0000  0.0000  0.3136 (multiplicity 2)
Ta  0.3333  0.6667  0.1036 (multiplicity 2)
O  0.0000  0.5000  0.0000 (multiplicity 3)
O  0.1629  0.3258  0.6137 (multiplicity 6)
O  0.1694  0.3387  0.1908 (multiplicity 6)

No. 2
A relaxed Ba2Ta15O32 crystal. Source: the Materials Project, functional PBE-GGA.

Summary:
As for the crystal system: trigonal. The value obtained for the formation energy is -157.311 eV per formula unit. Its total DFT energy (no corrections) is -9.701 eV per atom.

abc: 7.8657 7.8657 36.0292
angles: 90.00 90.00 120.00
Space group R-3 (No. 148, hexagonal axes)
Symmetry-distinct sites (fractional):
Ba  0.0000  0.0000  0.1398 (multiplicity 6)
Ta  0.0000  0.0000  0.3613 (multiplicity 6)
Ta  0.0000  0.0000  0.5000 (multiplicity 3)
Ta  0.0230  0.2152  0.0323 (multiplicity 18)
Ta  0.0702  0.4743  0.9011 (multiplicity 18)
O  0.0000  0.0000  0.2622 (multiplicity 6)
O  0.0081  0.2131  0.5318 (multiplicity 18)
O  0.0295  0.2348  0.9317 (multiplicity 18)
O  0.0595  0.2343  0.7928 (multiplicity 18)
O  0.0611  0.2369  0.3957 (multiplicity 18)
O  0.0731  0.2387  0.6669 (multiplicity 18)

No. 3
A relaxed Ba2Ta2O7 crystal. Source: the Materials Project, functional PBE-GGA.

Summary:
The energy above the most stable polymorph in this dataset is 0 meV per atom. As for the crystal system: orthorhombic. The value obtained for the formation energy is -37.856 eV per formula unit. Its total DFT energy (no corrections) is -8.658 eV per atom.

abc: 4.084 27.980 5.929
angles: 90.00 90.00 90.00
Space group Cmcm (No. 63)
Symmetry-distinct sites (fractional):
Ba  0.000  0.053  0.250 (multiplicity 4)
Ba  0.000  0.208  0.750 (multiplicity 4)
Ta  0.000  0.341  0.750 (multiplicity 4)
Ta  0.000  0.445  0.250 (multiplicity 4)
O  0.000  0.049  0.750 (multiplicity 4)
O  0.000  0.151  0.250 (multiplicity 4)
O  0.000  0.295  0.522 (multiplicity 8)
O  0.000  0.400  0.001 (multiplicity 8)
O  0.000  0.500  0.000 (multiplicity 4)

No. 4
A relaxed Ba4Ta2O9 crystal. Source: the Materials Project, functional PBE-GGA.

Summary:
Its total magnetization is 0.00 μB per formula unit. The energy above the most stable polymorph in this dataset is 0 meV per atom. As for the crystal system: monoclinic. The value obtained for the formation energy is -50.411 eV per formula unit. Its total DFT energy (no corrections) is -8.010 eV per atom.

abc: 6.184 16.640 12.360
angles: 90.00 120.02 90.00
Space group P2_1/c (No. 14)
Symmetry-distinct sites (fractional):
Ba  0.000  0.000  0.000 (multiplicity 2)
Ba  0.000  0.000  0.500 (multiplicity 2)
Ba  0.003  0.248  0.001 (multiplicity 4)
Ba  0.328  0.635  0.341 (multiplicity 4)
Ba  0.333  0.634  0.828 (multiplicity 4)
Ta  0.327  0.165  0.830 (multiplicity 4)
Ta  0.350  0.153  0.336 (multiplicity 4)
O  0.058  0.243  0.293 (multiplicity 4)
O  0.102  0.114  0.675 (multiplicity 4)
O  0.115  0.104  0.181 (multiplicity 4)
O  0.235  0.114  0.941 (multiplicity 4)
O  0.292  0.095  0.450 (multiplicity 4)
O  0.345  0.607  0.137 (multiplicity 4)
O  0.365  0.610  0.620 (multiplicity 4)
O  0.425  0.249  0.233 (multiplicity 4)
O  0.463  0.744  0.024 (multiplicity 4)

No. 5
A relaxed Ba4Ta2O9 crystal. Source: the Materials Project, functional PBE-GGA.

Summary:
Its total magnetization is 0.00 μB per formula unit. The energy above the most stable polymorph in this dataset is 42 meV per atom. As for the crystal system: monoclinic. The value obtained for the formation energy is -49.788 eV per formula unit. Its total DFT energy (no corrections) is -7.969 eV per atom.

abc: 10.571 6.090 18.903
angles: 90.00 123.90 90.00
Space group P2_1/c (No. 14)
Symmetry-distinct sites (fractional):
Ba  0.000  0.000  0.000 (multiplicity 2)
Ba  0.053  0.013  0.397 (multiplicity 4)
Ba  0.260  0.007  0.258 (multiplicity 4)
Ba  0.410  0.009  0.091 (multiplicity 4)
Ba  0.500  0.000  0.500 (multiplicity 2)
Ta  0.166  0.506  0.330 (multiplicity 4)
Ta  0.339  0.510  0.171 (multiplicity 4)
O  0.022  0.727  0.751 (multiplicity 4)
O  0.097  0.574  0.403 (multiplicity 4)
O  0.189  0.179  0.580 (multiplicity 4)
O  0.206  0.735  0.624 (multiplicity 4)
O  0.242  0.041  0.744 (multiplicity 4)
O  0.270  0.245  0.395 (multiplicity 4)
O  0.343  0.691  0.392 (multiplicity 4)
O  0.434  0.578  0.110 (multiplicity 4)
O  0.488  0.242  0.232 (multiplicity 4)